# V20GaGe4S40

An optimized crystal structure of V20GaGe4S40 (PBE, Materials Project).

Values from the calculation:
Magnetic moment: 9.0 μB per formula unit
Electronic total energy: -848.03 eV per cell
Crystal system: tetragonal

Lattice parameters (Å, degrees): 15.308 15.308 9.696 90.00 90.00 90.00
Space group I-4 (No. 82)
Asymmetric unit:
V  0.022  0.259  0.403 (multiplicity 8)
V  0.041  0.917  0.106 (multiplicity 8)
V  0.056  0.383  0.602 (multiplicity 8)
V  0.139  0.214  0.600 (multiplicity 8)
V  0.159  0.682  0.108 (multiplicity 8)
Ga  0.000  0.000  0.500 (multiplicity 2)
Ge  0.100  0.300  0.001 (multiplicity 8)
S  0.004  0.752  0.634 (multiplicity 8)
S  0.008  0.755  0.138 (multiplicity 8)
S  0.045  0.409  0.863 (multiplicity 8)
S  0.049  0.404  0.371 (multiplicity 8)
S  0.052  0.895  0.873 (multiplicity 8)
S  0.053  0.889  0.363 (multiplicity 8)
S  0.144  0.709  0.367 (multiplicity 8)
S  0.151  0.700  0.875 (multiplicity 8)
S  0.154  0.191  0.863 (multiplicity 8)
S  0.154  0.196  0.369 (multiplicity 8)



# V8GaGeS16

An optimized crystal structure of V8GaGeS16 (PBE, Materials Project).

Values from the calculation:
Magnetic moment: 9.0 μB per formula unit
Electronic total energy: -169.31 eV per cell
Crystal system: tetragonal

Lattice parameters (Å, degrees): 6.877 6.877 9.722 90.00 90.00 90.00
Space group P-4m2 (No. 115)
Asymmetric unit:
V  0.000  0.208  0.105 (multiplicity 4)
V  0.290  0.500  0.395 (multiplicity 4)
Ga  0.000  0.000  0.500 (multiplicity 1)
Ge  0.500  0.500  0.000 (multiplicity 1)
S  0.000  0.260  0.872 (multiplicity 4)
S  0.000  0.274  0.362 (multiplicity 4)
S  0.228  0.500  0.136 (multiplicity 4)
S  0.241  0.500  0.629 (multiplicity 4)



# V12Ga2GeS24

An optimized crystal structure of V12Ga2GeS24 (PBE, Materials Project).

Values from the calculation:
Magnetic moment: 14.0 μB per formula unit
Electronic total energy: -507.37 eV per cell
Crystal system: orthorhombic

Lattice parameters (Å, degrees): 6.869 20.599 9.707 90.00 90.00 90.00
Space group Imm2 (No. 44)
Asymmetric unit:
V  0.000  0.070  0.000 (multiplicity 4)
V  0.000  0.263  0.001 (multiplicity 4)
V  0.000  0.403  0.000 (multiplicity 4)
V  0.210  0.000  0.791 (multiplicity 4)
V  0.210  0.333  0.790 (multiplicity 8)
Ga  0.000  0.333  0.395 (multiplicity 4)
Ge  0.000  0.000  0.395 (multiplicity 2)
S  0.000  0.086  0.766 (multiplicity 4)
S  0.000  0.091  0.259 (multiplicity 4)
S  0.000  0.242  0.258 (multiplicity 4)
S  0.000  0.247  0.766 (multiplicity 4)
S  0.000  0.420  0.766 (multiplicity 4)
S  0.000  0.425  0.258 (multiplicity 4)
S  0.226  0.167  0.032 (multiplicity 8)
S  0.228  0.500  0.031 (multiplicity 4)
S  0.241  0.167  0.524 (multiplicity 8)
S  0.241  0.500  0.524 (multiplicity 4)



# V9GaSiGe

An optimized crystal structure of V9GaSiGe (PBE, Materials Project).

Values from the calculation:
Magnetic moment: 0.0 μB per formula unit
Electronic total energy: -197.35 eV per cell
Crystal system: orthorhombic

Lattice parameters (Å, degrees): 4.765 4.769 14.193 90.00 90.00 90.00
Space group Pmm2 (No. 25)
Asymmetric unit:
V  0.000  0.000  0.000 (multiplicity 1)
V  0.000  0.000  0.164 (multiplicity 1)
V  0.000  0.000  0.330 (multiplicity 1)
V  0.000  0.000  0.498 (multiplicity 1)
V  0.000  0.000  0.665 (multiplicity 1)
V  0.000  0.000  0.832 (multiplicity 1)
V  0.250  0.500  0.411 (multiplicity 2)
V  0.254  0.500  0.748 (multiplicity 2)
V  0.257  0.500  0.085 (multiplicity 2)
V  0.500  0.248  0.918 (multiplicity 2)
V  0.500  0.250  0.581 (multiplicity 2)
V  0.500  0.255  0.245 (multiplicity 2)
Ga  0.000  0.500  0.580 (multiplicity 1)
Ga  0.000  0.500  0.916 (multiplicity 1)
Si  0.000  0.500  0.248 (multiplicity 1)
Si  0.500  0.000  0.082 (multiplicity 1)
Ge  0.500  0.000  0.413 (multiplicity 1)
Ge  0.500  0.000  0.749 (multiplicity 1)